# 1
First-principles (PBE) data for an optimized crystal structure of Re2Hg5O10, as listed in the Materials Project.

Cell lengths 8.883, 12.314, 12.404 Å; angles 90.00, 97.41, 90.00 degrees
Space group P2_1/c (No. 14)
One atom of each set of equivalent atoms:
Re: 0.198 0.017 0.429
Re: 0.204 0.037 0.072
Hg: 0.103 0.730 0.240
Hg: 0.171 0.200 0.754
Hg: 0.379 0.522 0.247
Hg: 0.439 0.744 0.598
Hg: 0.496 0.215 0.598
O: 0.021 0.088 0.074
O: 0.053 0.015 0.318
O: 0.172 0.590 0.020
O: 0.196 0.142 0.498
O: 0.226 0.598 0.619
O: 0.263 0.050 0.943
O: 0.327 0.118 0.163
O: 0.341 0.688 0.248
O: 0.375 0.501 0.883
O: 0.404 0.145 0.746

The volume comes out at 1346 Å³ per cell. The calculation puts the total energy at -5.49 eV per atom. As for the total energy after the MP2020 corrections: -401.0 eV/cell. Its size of the total moment is 0.00 μB per cell. The calculation puts the energy of formation from the pure elements at -1434 meV per atom.



# 2
First-principles (PBE) data for an optimized crystal structure of Re3HgO9, as listed in the Materials Project.

Cell lengths 7.4397, 7.4397, 3.7894 Å; angles 90.00, 90.00, 120.00 degrees
Space group P6mm (No. 183)
One atom of each set of equivalent atoms:
Re: 0.0000 0.5000 0.0000
Hg: 0.0000 0.0000 0.2478
O: 0.0000 0.5000 0.5022
O: 0.2126 0.4252 0.0054

The volume comes out at 182 Å³ per cell. The calculation puts the total energy at -7.73 eV per atom. As for the total energy after the MP2020 corrections: -106.7 eV/cell. Its size of the total moment is 0.10 μB per cell. The calculation puts the energy of formation from the pure elements at -1886 meV per atom.



# 3
First-principles (PBE) data for an optimized crystal structure of ReHg2O5, as listed in the Materials Project.

Cell lengths 8.182, 9.193, 9.248 Å; angles 113.95, 101.59, 91.08 degrees
Space group P-1 (No. 2)
One atom of each set of equivalent atoms:
Re: 0.100 0.252 0.039
Re: 0.274 0.652 0.503
Hg: 0.000 0.000 0.500
Hg: 0.308 0.323 0.691
Hg: 0.338 0.969 0.305
Hg: 0.367 0.608 0.930
Hg: 0.500 0.000 0.000
O: 0.023 0.165 0.827
O: 0.065 0.684 0.447
O: 0.068 0.703 0.866
O: 0.214 0.115 0.096
O: 0.230 0.428 0.094
O: 0.248 0.073 0.515
O: 0.289 0.448 0.449
O: 0.348 0.757 0.714
O: 0.399 0.728 0.408
O: 0.460 0.853 0.119

The volume comes out at 619 Å³ per cell. The calculation puts the total energy at -5.80 eV per atom. As for the total energy after the MP2020 corrections: -199.4 eV/cell. The calculation puts the energy of formation from the pure elements at -1506 meV per atom.



# 4
First-principles (PBE) data for an optimized crystal structure of Re2Hg5O10, as listed in the Materials Project.

Cell lengths 6.614, 11.850, 8.497 Å; angles 90.00, 99.84, 90.00 degrees
Space group P2_1/c (No. 14)
One atom of each set of equivalent atoms:
Re: 0.116 0.157 0.017
Hg: 0.000 0.000 0.500
Hg: 0.374 0.717 0.179
Hg: 0.498 0.089 0.687
O: 0.049 0.079 0.840
O: 0.100 0.676 0.392
O: 0.201 0.208 0.467
O: 0.305 0.552 0.063
O: 0.318 0.091 0.145

The volume comes out at 656 Å³ per cell. The calculation puts the total energy at -5.49 eV per atom. As for the total energy after the MP2020 corrections: -200.5 eV/cell. The calculation puts the energy of formation from the pure elements at -1434 meV per atom.



# 5
First-principles (PBE) data for an optimized crystal structure of HgRhO3, as listed in the Materials Project.

Cell lengths 3.971, 3.971, 3.971 Å; angles 90.00, 90.00, 90.00 degrees
Space group Pm-3m (No. 221)
One atom of each set of equivalent atoms:
Hg: 0.000 0.000 0.000
Rh: 0.500 0.500 0.500
O: 0.000 0.500 0.500

The volume comes out at 63 Å³ per cell. The calculation puts the total energy at -4.67 eV per atom. As for the total energy after the MP2020 corrections: -25.4 eV/cell. Its size of the total moment is 1.39 μB per cell. The calculation puts the energy of formation from the pure elements at -577 meV per atom.



# 6
First-principles (PBE) data for an optimized crystal structure of HgSO5, as listed in the Materials Project.

Cell lengths 8.871, 5.707, 8.718 Å; angles 90.00, 90.00, 90.00 degrees
Space group Pnma (No. 62)
One atom of each set of equivalent atoms:
Hg: 0.140 0.250 0.219
S: 0.099 0.250 0.858
O: 0.057 0.750 0.085
O: 0.065 0.250 0.441
O: 0.130 0.035 0.767
O: 0.213 0.250 0.992

The volume comes out at 441 Å³ per cell. The calculation puts the total energy at -4.66 eV per atom. As for the total energy after the MP2020 corrections: -144.2 eV/cell. Its size of the total moment is 8.00 μB per cell. The calculation puts the energy of formation from the pure elements at -982 meV per atom.